# NiSb3P6O24

A relaxed structure of NiSb3P6O24 (GGA+U, the Materials Project).

Output
Its crystal system is trigonal. The value obtained for the total energy is -681.0 eV per cell. The value obtained for the energy of formation from the pure elements is -2.254 eV per atom. For the magnetization, the calculation gives 9.09 μB per cell.

```
data_NiSb3P6O24
_chemical_formula_sum 'Ni3 Sb9 P18 O72'
_symmetry_space_group_name_H-M 'R 3'
_symmetry_Int_Tables_number 146
_symmetry_space_group_name_Hall 'R 3'
_cell_length_a 8.6482
_cell_length_b 8.6482
_cell_length_c 22.1783
_cell_angle_alpha 90.00
_cell_angle_beta 90.00
_cell_angle_gamma 120.00
loop_
_atom_site_label
_atom_site_fract_x
_atom_site_fract_y
_atom_site_fract_z
Ni1 0.0000 0.0000 0.0000
Sb1 0.0000 0.0000 0.2866
Sb2 0.0000 0.0000 0.5001
Sb3 0.0000 0.0000 0.7878
P1 0.0453 0.6707 0.0601
P2 0.0487 0.3815 0.5620
O1 0.0276 0.1922 0.5546
O2 0.0280 0.8344 0.0553
O3 0.0327 0.2086 0.8355
O4 0.0355 0.8290 0.3366
O5 0.1586 0.4611 0.6173
O6 0.1590 0.6966 0.1177
O7 0.1695 0.4748 0.8979
O8 0.1716 0.6986 0.3987
```



# TiNi3Sb2P6O24

A relaxed structure of TiNi3Sb2P6O24 (GGA+U, the Materials Project).

Output
Its crystal system is trigonal. The value obtained for the total energy is -732.8 eV per cell. The value obtained for the energy of formation from the pure elements is -2.323 eV per atom. For the magnetization, the calculation gives 18.11 μB per cell.

```
data_TiNi3Sb2P6O24
_chemical_formula_sum 'Ti3 Ni9 Sb6 P18 O72'
_symmetry_space_group_name_H-M 'R 3'
_symmetry_Int_Tables_number 146
_symmetry_space_group_name_Hall 'R 3'
_cell_length_a 8.7209
_cell_length_b 8.7209
_cell_length_c 21.1863
_cell_angle_alpha 90.00
_cell_angle_beta 90.00
_cell_angle_gamma 120.00
loop_
_atom_site_label
_atom_site_fract_x
_atom_site_fract_y
_atom_site_fract_z
Ti1 0.0000 0.0000 0.0000
Ni1 0.0000 0.0000 0.2955
Ni2 0.0000 0.0000 0.4917
Ni3 0.0000 0.0000 0.7919
Sb1 0.0000 0.0000 0.1562
Sb2 0.0000 0.0000 0.6457
P1 0.0001 0.7059 0.3901
P2 0.0428 0.3735 0.5620
O1 0.0017 0.7931 0.4520
O2 0.0017 0.7974 0.3301
O3 0.0023 0.8254 0.0600
O4 0.0126 0.1930 0.9531
O5 0.0245 0.1825 0.5748
O6 0.1339 0.4525 0.5006
O7 0.1564 0.4851 0.8919
O8 0.1701 0.6764 0.3833
```



# Sr2ScNiPO3

A relaxed structure of Sr2ScNiPO3 (GGA+U, the Materials Project).

Output
Its crystal system is tetragonal. The value obtained for the total energy is -100.9 eV per cell. The value obtained for the energy of formation from the pure elements is -2.413 eV per atom. For the magnetization, the calculation gives 0.01 μB per cell.

```
data_Sr2ScNiPO3
_chemical_formula_sum 'Sr4 Sc2 Ni2 P2 O6'
_symmetry_space_group_name_H-M 'P 4/n m m'
_symmetry_Int_Tables_number 129
_cell_length_a 4.081
_cell_length_b 4.081
_cell_length_c 15.211
_cell_angle_alpha 90.00
_cell_angle_beta 90.00
_cell_angle_gamma 90.00
loop_
_symmetry_equiv_pos_as_xyz
'x,y,z'
'-x,-y,-z'
'-y+1/2,x,z'
'y+1/2,-x,-z'
'-x+1/2,-y+1/2,z'
'x+1/2,y+1/2,-z'
'y,-x+1/2,z'
'-y,x+1/2,-z'
'x+1/2,-y,-z'
'-x+1/2,y,z'
'-y,-x,-z'
'y,x,z'
'-x,y+1/2,-z'
'x,-y+1/2,z'
'y+1/2,x+1/2,-z'
'-y+1/2,-x+1/2,z'
loop_
_atom_site_label
_atom_site_fract_x
_atom_site_fract_y
_atom_site_fract_z
Sr1 0.250 0.250 0.089
Sr2 0.250 0.250 0.325
Sc1 0.250 0.250 0.801
Ni1 0.250 0.750 0.500
P1 0.250 0.250 0.562
O1 0.250 0.250 0.932
O2 0.250 0.750 0.221
```



The highest magnetization belongs to which entry? TiNi3Sb2P6O24